No. 1
MgFe2B2O6 | GGA+U | optimized geometry

## Properties
Space group = C2/m
E = -7.028 eV/atom

abc: 5.1770 5.1770 5.5325
angles: 100.89 100.89 63.41
Fractional coordinates of all 11 atoms:
Mg  0.0000  0.0000  0.0000
Fe  0.5000  0.5000  0.0000
Fe  0.5000  0.5000  0.5000
B  0.1774  0.1774  0.7413
B  0.8226  0.8226  0.2587
O  0.1178  0.6850  0.2161
O  0.3150  0.8822  0.7839
O  0.3225  0.3225  0.6946
O  0.6775  0.6775  0.3054
O  0.6850  0.1178  0.2161
O  0.8822  0.3150  0.7839

=====

No. 2
GdWO5 | GGA+U | optimized geometry

## Properties
Space group = P2_1/c
E = -8.862 eV/atom

abc: 5.3258 12.8924 7.0397
angles: 90.00 116.38 90.00
Fractional coordinates of all 28 atoms:
Gd  0.1347  0.0566  0.2849
Gd  0.1347  0.4434  0.7849
Gd  0.8653  0.5566  0.2151
Gd  0.8653  0.9434  0.7151
W  0.3898  0.1393  0.8459
W  0.3898  0.3607  0.3459
W  0.6102  0.6393  0.6541
W  0.6102  0.8607  0.1541
O  0.0265  0.0914  0.5695
O  0.0265  0.4086  0.0695
O  0.2036  0.0655  0.9733
O  0.2036  0.4345  0.4733
O  0.2682  0.6484  0.4268
O  0.2682  0.8516  0.9268
O  0.2945  0.2259  0.2936
O  0.2945  0.2741  0.7936
O  0.4915  0.5709  0.8420
O  0.4915  0.9291  0.3420
O  0.5085  0.0709  0.6580
O  0.5085  0.4291  0.1580
O  0.7055  0.7259  0.2064
O  0.7055  0.7741  0.7064
O  0.7318  0.1484  0.0732
O  0.7318  0.3516  0.5732
O  0.7964  0.5655  0.5267
O  0.7964  0.9345  0.0267
O  0.9735  0.5914  0.9305
O  0.9735  0.9086  0.4305

=====

No. 3
CaFeP2O7 | GGA+U | optimized geometry

## Properties
E = -7.242 eV/atom

abc: 7.3324 9.7833 8.6719
angles: 105.87 110.50 69.67
Fractional coordinates of all 44 atoms:
Ca  0.5199  0.6506  0.7932
Ca  0.0199  0.1507  0.2932
Ca  0.9801  0.8493  0.7068
Ca  0.4801  0.3494  0.2068
Fe  0.5105  0.2612  0.6129
Fe  0.4893  0.7387  0.3870
Fe  0.0105  0.7613  0.1129
Fe  0.9895  0.2387  0.8871
P  0.1876  0.5610  0.4146
P  0.6876  0.0610  0.9147
P  0.3124  0.9390  0.0853
P  0.8124  0.4390  0.5854
P  0.7004  0.9705  0.3415
P  0.2004  0.4703  0.8415
P  0.7997  0.5297  0.1586
P  0.2997  0.0295  0.6585
O  0.5485  0.9304  0.1579
O  0.0485  0.4303  0.6578
O  0.9515  0.5696  0.3422
O  0.4516  0.0695  0.8421
O  0.8151  0.8989  0.9170
O  0.3150  0.3989  0.4169
O  0.6851  0.6012  0.5832
O  0.1849  0.1011  0.0830
O  0.7900  0.6332  0.0485
O  0.2899  0.1331  0.5484
O  0.7103  0.8669  0.4516
O  0.2100  0.3668  0.9516
O  0.5971  0.5642  0.1976
O  0.0972  0.0638  0.6975
O  0.9029  0.9363  0.3025
O  0.4030  0.4359  0.8025
O  0.2954  0.8441  0.9131
O  0.7952  0.3442  0.4132
O  0.2048  0.6558  0.5869
O  0.7046  0.1559  0.0869
O  0.2573  0.8794  0.2071
O  0.7574  0.3794  0.7073
O  0.2425  0.6206  0.2927
O  0.7427  0.1206  0.7929
O  0.8882  0.3665  0.0948
O  0.3885  0.8663  0.5946
O  0.6114  0.1337  0.4052
O  0.1117  0.6335  0.9052

=====

In eV per atom, the formation energy from the elements values for the records above are, in order, -2.214; -2.591; -2.799.